Computed, not measured: crystalline Ca9Mn2N8 at its relaxed geometry at the PBE level of DFT.

Cell: 9.6252 9.6252 7.8704 Å, 110.91 110.91 29.54°
Sites, in units of the cell vectors:
Ca 0.0000 0.0000 0.0000
Ca 0.0869 0.0869 0.4864
Ca 0.1727 0.1727 0.9481
Ca 0.3061 0.3061 0.6800
Ca 0.4624 0.4624 0.2629
Ca 0.5376 0.5376 0.7371
Ca 0.6939 0.6939 0.3200
Ca 0.8273 0.8273 0.0519
Ca 0.9131 0.9131 0.5136
Mn 0.3071 0.3071 0.3000
Mn 0.6929 0.6929 0.7000
N 0.0364 0.0364 0.7482
N 0.2157 0.2157 0.3115
N 0.3175 0.3175 0.0937
N 0.3908 0.3908 0.4978
N 0.6092 0.6092 0.5022
N 0.6825 0.6825 0.9063
N 0.7843 0.7843 0.6885
N 0.9636 0.9636 0.2518

Calculated total energy: -6.221 eV/atom
Symmetry: C2/m
Spin magnetization: 2.350 Bohr magnetons per cell